# 1
Crystalline RuC3Br2O3 at its relaxed geometry, computed with PBE.

Results
volume: 374.6 Å³/cell
spin magnetization: 0.00 μB/f.u.

abc: 6.607 6.607 9.567
angles: 103.40 103.40 69.21
Positions (direct):
Ru (0.063, 0.063, 0.211)
Ru (0.937, 0.937, 0.789)
C (0.091, 0.721, 0.648)
C (0.238, 0.238, 0.202)
C (0.279, 0.909, 0.352)
C (0.721, 0.091, 0.648)
C (0.762, 0.762, 0.798)
C (0.909, 0.279, 0.352)
Br (0.171, 0.171, 0.774)
Br (0.237, 0.763, 0.000)
Br (0.763, 0.237, 0.000)
Br (0.829, 0.829, 0.226)
O (0.191, 0.590, 0.565)
O (0.344, 0.344, 0.206)
O (0.410, 0.809, 0.435)
O (0.590, 0.191, 0.565)
O (0.656, 0.656, 0.794)
O (0.809, 0.410, 0.435)



# 2
Crystalline YC9Br3O12 at its relaxed geometry, computed with PBE.

Results
volume: 913.7 Å³/cell
spin magnetization: 4.00 μB/f.u.

abc: 9.527 9.915 11.244
angles: 66.88 69.63 78.89
Positions (direct):
Y (0.221, 0.239, 0.254)
Y (0.779, 0.761, 0.746)
C (0.020, 0.358, 0.488)
C (0.064, 0.631, 0.385)
C (0.087, 0.495, 0.367)
C (0.363, 0.089, 0.030)
C (0.378, 0.998, 0.452)
C (0.379, 0.018, 0.940)
C (0.439, 0.141, 0.429)
C (0.442, 0.863, 0.521)
C (0.493, 0.078, 0.085)
C (0.507, 0.922, 0.915)
C (0.558, 0.137, 0.479)
C (0.561, 0.859, 0.571)
C (0.621, 0.982, 0.060)
C (0.622, 0.002, 0.548)
C (0.637, 0.911, 0.970)
C (0.913, 0.505, 0.633)
C (0.936, 0.369, 0.615)
C (0.980, 0.642, 0.512)
Br (0.140, 0.798, 0.236)
Br (0.226, 0.042, 0.862)
Br (0.376, 0.685, 0.544)
Br (0.624, 0.315, 0.456)
Br (0.774, 0.958, 0.138)
Br (0.860, 0.202, 0.764)
O (0.029, 0.692, 0.802)
O (0.042, 0.828, 0.735)
O (0.047, 0.240, 0.463)
O (0.123, 0.414, 0.857)
O (0.162, 0.473, 0.257)
O (0.245, 0.162, 0.075)
O (0.259, 0.575, 0.933)
O (0.270, 0.014, 0.405)
O (0.365, 0.473, 0.951)
O (0.377, 0.258, 0.365)
O (0.438, 0.427, 0.851)
O (0.472, 0.159, 0.154)
O (0.528, 0.841, 0.846)
O (0.562, 0.573, 0.149)
O (0.623, 0.742, 0.635)
O (0.635, 0.527, 0.049)
O (0.730, 0.986, 0.595)
O (0.741, 0.425, 0.067)
O (0.755, 0.838, 0.925)
O (0.838, 0.527, 0.743)
O (0.877, 0.586, 0.143)
O (0.953, 0.760, 0.537)
O (0.958, 0.172, 0.265)
O (0.971, 0.308, 0.198)



# 3
Crystalline Pr7C3Br10 at its relaxed geometry, computed with PBE.

Results
volume: 1223.3 Å³/cell

abc: 9.229 11.176 13.579
angles: 86.39 72.34 66.71
Positions (direct):
Pr (0.032, 0.435, 0.170)
Pr (0.094, 0.282, 0.420)
Pr (0.179, 0.791, 0.689)
Pr (0.188, 0.049, 0.079)
Pr (0.198, 0.917, 0.361)
Pr (0.428, 0.256, 0.901)
Pr (0.440, 0.118, 0.180)
Pr (0.560, 0.882, 0.820)
Pr (0.572, 0.744, 0.099)
Pr (0.802, 0.083, 0.639)
Pr (0.812, 0.951, 0.921)
Pr (0.821, 0.209, 0.311)
Pr (0.906, 0.718, 0.580)
Pr (0.968, 0.565, 0.830)
C (0.105, 0.230, 0.233)
C (0.142, 0.110, 0.278)
C (0.482, 0.060, 0.978)
C (0.518, 0.940, 0.022)
C (0.858, 0.890, 0.722)
C (0.895, 0.770, 0.767)
Br (0.021, 0.435, 0.634)
Br (0.059, 0.310, 0.965)
Br (0.168, 0.045, 0.564)
Br (0.181, 0.921, 0.878)
Br (0.217, 0.779, 0.170)
Br (0.269, 0.657, 0.484)
Br (0.320, 0.525, 0.776)
Br (0.390, 0.396, 0.094)
Br (0.441, 0.136, 0.704)
Br (0.444, 0.247, 0.373)
Br (0.556, 0.753, 0.627)
Br (0.559, 0.864, 0.296)
Br (0.610, 0.604, 0.906)
Br (0.680, 0.475, 0.224)
Br (0.731, 0.343, 0.516)
Br (0.783, 0.221, 0.830)
Br (0.819, 0.079, 0.122)
Br (0.832, 0.955, 0.436)
Br (0.941, 0.690, 0.035)
Br (0.979, 0.565, 0.366)



# 4
Crystalline Pr3CBr3 at its relaxed geometry, computed with PBE.

Results
volume: 770.0 Å³/cell

abc: 10.001 10.001 10.001
angles: 109.47 109.47 109.47
Positions (direct):
Pr (0.021, 0.041, 0.271)
Pr (0.021, 0.479, 0.750)
Pr (0.041, 0.271, 0.021)
Pr (0.229, 0.271, 0.750)
Pr (0.229, 0.459, 0.479)
Pr (0.271, 0.021, 0.041)
Pr (0.271, 0.750, 0.229)
Pr (0.459, 0.479, 0.229)
Pr (0.479, 0.229, 0.459)
Pr (0.479, 0.750, 0.021)
Pr (0.750, 0.021, 0.479)
Pr (0.750, 0.229, 0.271)
C (0.000, 0.250, 0.500)
C (0.250, 0.250, 0.250)
C (0.250, 0.500, 0.000)
C (0.500, 0.000, 0.250)
Br (0.250, 0.760, 0.740)
Br (0.250, 0.990, 0.510)
Br (0.510, 0.250, 0.990)
Br (0.510, 0.760, 0.520)
Br (0.520, 0.510, 0.760)
Br (0.740, 0.250, 0.760)
Br (0.740, 0.990, 0.980)
Br (0.760, 0.520, 0.510)
Br (0.760, 0.740, 0.250)
Br (0.980, 0.740, 0.990)
Br (0.990, 0.510, 0.250)
Br (0.990, 0.980, 0.740)



# 5
Crystalline Pr10C4Br15 at its relaxed geometry, computed with PBE.

Results
volume: 898.1 Å³/cell

abc: 9.279 10.285 11.219
angles: 70.13 66.25 70.74
Positions (direct):
Pr (0.028, 0.105, 0.266)
Pr (0.079, 0.181, 0.888)
Pr (0.170, 0.430, 0.046)
Pr (0.247, 0.540, 0.645)
Pr (0.333, 0.751, 0.831)
Pr (0.667, 0.249, 0.169)
Pr (0.753, 0.460, 0.355)
Pr (0.830, 0.570, 0.954)
Pr (0.921, 0.819, 0.112)
Pr (0.972, 0.895, 0.734)
C (0.044, 0.704, 0.938)
C (0.120, 0.640, 0.829)
C (0.880, 0.360, 0.171)
C (0.956, 0.296, 0.062)
Br (0.053, 0.555, 0.297)
Br (0.135, 0.814, 0.467)
Br (0.231, 0.909, 0.061)
Br (0.254, 0.028, 0.646)
Br (0.336, 0.168, 0.222)
Br (0.387, 0.271, 0.818)
Br (0.453, 0.367, 0.414)
Br (0.500, 0.500, 0.000)
Br (0.547, 0.633, 0.586)
Br (0.613, 0.729, 0.182)
Br (0.664, 0.832, 0.778)
Br (0.746, 0.972, 0.354)
Br (0.769, 0.091, 0.939)
Br (0.865, 0.186, 0.533)
Br (0.947, 0.445, 0.703)



# 6
Crystalline Pr5C2Br9 at its relaxed geometry, computed with PBE.

Results
volume: 2033.7 Å³/cell
spin magnetization: 0.01 μB/f.u.

abc: 10.361 19.469 12.208
angles: 90.00 124.33 90.00
Positions (direct):
Pr (0.094, 0.223, 0.227)
Pr (0.094, 0.277, 0.727)
Pr (0.111, 0.026, 0.235)
Pr (0.111, 0.474, 0.735)
Pr (0.117, 0.618, 0.140)
Pr (0.117, 0.882, 0.640)
Pr (0.323, 0.584, 0.520)
Pr (0.323, 0.916, 0.020)
Pr (0.337, 0.733, 0.908)
Pr (0.337, 0.767, 0.408)
Pr (0.663, 0.233, 0.592)
Pr (0.663, 0.267, 0.092)
Pr (0.677, 0.084, 0.980)
Pr (0.677, 0.416, 0.480)
Pr (0.883, 0.118, 0.360)
Pr (0.883, 0.382, 0.860)
Pr (0.889, 0.526, 0.265)
Pr (0.889, 0.974, 0.765)
Pr (0.906, 0.723, 0.273)
Pr (0.906, 0.777, 0.773)
C (0.063, 0.618, 0.317)
C (0.063, 0.882, 0.817)
C (0.168, 0.674, 0.349)
C (0.168, 0.826, 0.849)
C (0.832, 0.174, 0.151)
C (0.832, 0.326, 0.651)
C (0.937, 0.118, 0.183)
C (0.937, 0.382, 0.683)
Br (0.067, 0.640, 0.850)
Br (0.067, 0.860, 0.350)
Br (0.124, 0.235, 0.494)
Br (0.124, 0.265, 0.994)
Br (0.154, 0.049, 0.999)
Br (0.154, 0.451, 0.499)
Br (0.168, 0.027, 0.500)
Br (0.168, 0.473, 0.000)
Br (0.347, 0.727, 0.178)
Br (0.347, 0.773, 0.678)
Br (0.359, 0.589, 0.780)
Br (0.359, 0.911, 0.280)
Br (0.366, 0.128, 0.346)
Br (0.366, 0.372, 0.846)
Br (0.394, 0.531, 0.331)
Br (0.394, 0.969, 0.831)
Br (0.399, 0.178, 0.902)
Br (0.399, 0.322, 0.402)
Br (0.601, 0.678, 0.598)
Br (0.601, 0.822, 0.098)
Br (0.606, 0.031, 0.169)
Br (0.606, 0.469, 0.669)
Br (0.634, 0.628, 0.154)
Br (0.634, 0.872, 0.654)
Br (0.641, 0.089, 0.720)
Br (0.641, 0.411, 0.220)
Br (0.653, 0.227, 0.322)
Br (0.653, 0.273, 0.822)
Br (0.832, 0.527, 0.000)
Br (0.832, 0.973, 0.500)
Br (0.846, 0.549, 0.501)
Br (0.846, 0.951, 0.001)
Br (0.876, 0.735, 0.006)
Br (0.876, 0.765, 0.506)
Br (0.933, 0.140, 0.650)
Br (0.933, 0.360, 0.150)



# 7
Crystalline Rb2Tb10C4Br19 at its relaxed geometry, computed with PBE.

Results
volume: 4400.3 Å³/cell

abc: 12.869 23.443 14.585
angles: 90.00 90.00 90.00
Positions (direct):
Rb (0.000, 0.000, 0.000)
Rb (0.000, 0.000, 0.500)
Rb (0.000, 0.271, 0.250)
Rb (0.000, 0.729, 0.750)
Rb (0.500, 0.229, 0.750)
Rb (0.500, 0.500, 0.000)
Rb (0.500, 0.500, 0.500)
Rb (0.500, 0.771, 0.250)
Tb (0.101, 0.327, 0.687)
Tb (0.101, 0.673, 0.187)
Tb (0.112, 0.172, 0.683)
Tb (0.112, 0.828, 0.183)
Tb (0.116, 0.479, 0.688)
Tb (0.116, 0.521, 0.188)
Tb (0.128, 0.235, 0.914)
Tb (0.128, 0.765, 0.414)
Tb (0.131, 0.412, 0.915)
Tb (0.131, 0.588, 0.415)
Tb (0.369, 0.088, 0.415)
Tb (0.369, 0.912, 0.915)
Tb (0.372, 0.265, 0.414)
Tb (0.372, 0.735, 0.914)
Tb (0.384, 0.021, 0.188)
Tb (0.384, 0.979, 0.688)
Tb (0.388, 0.328, 0.183)
Tb (0.388, 0.672, 0.683)
Tb (0.399, 0.173, 0.187)
Tb (0.399, 0.827, 0.687)
Tb (0.601, 0.173, 0.313)
Tb (0.601, 0.827, 0.813)
Tb (0.612, 0.328, 0.317)
Tb (0.612, 0.672, 0.817)
Tb (0.616, 0.021, 0.312)
Tb (0.616, 0.979, 0.812)
Tb (0.628, 0.265, 0.086)
Tb (0.628, 0.735, 0.586)
Tb (0.631, 0.088, 0.085)
Tb (0.631, 0.912, 0.585)
Tb (0.869, 0.412, 0.585)
Tb (0.869, 0.588, 0.085)
Tb (0.872, 0.235, 0.586)
Tb (0.872, 0.765, 0.086)
Tb (0.884, 0.479, 0.812)
Tb (0.884, 0.521, 0.312)
Tb (0.888, 0.172, 0.817)
Tb (0.888, 0.828, 0.317)
Tb (0.899, 0.327, 0.813)
Tb (0.899, 0.673, 0.313)
C (0.031, 0.243, 0.790)
C (0.031, 0.409, 0.791)
C (0.031, 0.591, 0.291)
C (0.031, 0.757, 0.290)
C (0.469, 0.091, 0.291)
C (0.469, 0.257, 0.290)
C (0.469, 0.743, 0.790)
C (0.469, 0.909, 0.791)
C (0.531, 0.091, 0.209)
C (0.531, 0.257, 0.210)
C (0.531, 0.743, 0.710)
C (0.531, 0.909, 0.709)
C (0.969, 0.243, 0.710)
C (0.969, 0.409, 0.709)
C (0.969, 0.591, 0.209)
C (0.969, 0.757, 0.210)
Br (0.000, 0.077, 0.750)
Br (0.000, 0.426, 0.250)
Br (0.000, 0.500, 0.000)
Br (0.000, 0.500, 0.500)
Br (0.000, 0.574, 0.750)
Br (0.000, 0.923, 0.250)
Br (0.004, 0.325, 0.002)
Br (0.004, 0.675, 0.502)
Br (0.008, 0.155, 0.506)
Br (0.008, 0.845, 0.006)
Br (0.236, 0.008, 0.335)
Br (0.236, 0.175, 0.341)
Br (0.236, 0.342, 0.329)
Br (0.236, 0.658, 0.829)
Br (0.236, 0.825, 0.841)
Br (0.236, 0.992, 0.835)
Br (0.243, 0.251, 0.102)
Br (0.243, 0.749, 0.602)
Br (0.246, 0.404, 0.596)
Br (0.246, 0.596, 0.096)
Br (0.248, 0.073, 0.595)
Br (0.248, 0.927, 0.095)
Br (0.252, 0.427, 0.095)
Br (0.252, 0.573, 0.595)
Br (0.254, 0.096, 0.096)
Br (0.254, 0.904, 0.596)
Br (0.257, 0.249, 0.602)
Br (0.257, 0.751, 0.102)
Br (0.264, 0.158, 0.829)
Br (0.264, 0.325, 0.841)
Br (0.264, 0.492, 0.835)
Br (0.264, 0.508, 0.335)
Br (0.264, 0.675, 0.341)
Br (0.264, 0.842, 0.329)
Br (0.492, 0.345, 0.006)
Br (0.492, 0.655, 0.506)
Br (0.496, 0.175, 0.502)
Br (0.496, 0.825, 0.002)
Br (0.500, 0.000, 0.000)
Br (0.500, 0.000, 0.500)
Br (0.500, 0.074, 0.750)
Br (0.500, 0.423, 0.250)
Br (0.500, 0.577, 0.750)
Br (0.500, 0.926, 0.250)
Br (0.504, 0.175, 0.998)
Br (0.504, 0.825, 0.498)
Br (0.508, 0.345, 0.494)
Br (0.508, 0.655, 0.994)
Br (0.736, 0.158, 0.671)
Br (0.736, 0.325, 0.659)
Br (0.736, 0.492, 0.665)
Br (0.736, 0.508, 0.165)
Br (0.736, 0.675, 0.159)
Br (0.736, 0.842, 0.171)
Br (0.743, 0.249, 0.898)
Br (0.743, 0.751, 0.398)
Br (0.746, 0.096, 0.404)
Br (0.746, 0.904, 0.904)
Br (0.748, 0.427, 0.405)
Br (0.748, 0.573, 0.905)
Br (0.752, 0.073, 0.905)
Br (0.752, 0.927, 0.405)
Br (0.754, 0.404, 0.904)
Br (0.754, 0.596, 0.404)
Br (0.757, 0.251, 0.398)
Br (0.757, 0.749, 0.898)
Br (0.764, 0.008, 0.165)
Br (0.764, 0.175, 0.159)
Br (0.764, 0.342, 0.171)
Br (0.764, 0.658, 0.671)
Br (0.764, 0.825, 0.659)
Br (0.764, 0.992, 0.665)
Br (0.992, 0.155, 0.994)
Br (0.992, 0.845, 0.494)
Br (0.996, 0.325, 0.498)
Br (0.996, 0.675, 0.998)



# 8
Crystalline CSe4Br2 at its relaxed geometry, computed with PBE.

Results
volume: 918.0 Å³/cell

abc: 21.480 4.906 8.711
angles: 90.00 90.00 90.00
Positions (direct):
C (0.122, 0.081, 0.000)
C (0.378, 0.581, 0.500)
C (0.622, 0.419, 0.000)
C (0.878, 0.919, 0.500)
Se (0.079, 0.215, 0.828)
Se (0.092, 0.105, 0.199)
Se (0.188, 0.875, 0.266)
Se (0.199, 0.907, 0.991)
Se (0.301, 0.407, 0.491)
Se (0.312, 0.375, 0.766)
Se (0.408, 0.605, 0.699)
Se (0.421, 0.715, 0.328)
Se (0.579, 0.285, 0.828)
Se (0.592, 0.395, 0.199)
Se (0.688, 0.625, 0.266)
Se (0.699, 0.593, 0.991)
Se (0.801, 0.093, 0.491)
Se (0.812, 0.125, 0.766)
Se (0.908, 0.895, 0.699)
Se (0.921, 0.785, 0.328)
Br (0.008, 0.633, 0.507)
Br (0.173, 0.038, 0.664)
Br (0.327, 0.538, 0.164)
Br (0.492, 0.133, 0.007)
Br (0.508, 0.867, 0.507)
Br (0.673, 0.462, 0.664)
Br (0.827, 0.962, 0.164)
Br (0.992, 0.367, 0.007)



Looking at calculated formation energy for the records above, in order, we have -0.922; -0.361; -1.746; -1.510; -1.792; -1.876; -1.911; -0.013 eV/atom.